# 1
Here is a relaxed structure of SmTiNbBi2O9 from Materials Project. Energies are from GGA-PBE.

POSCAR file:
```
SmTiNbBi2O9
1.0
5.440 0.000 0.000
0.000 5.489 0.000
-2.640 0.000 12.660
Sm Ti Nb Bi O
2 2 2 4 18
Cartesian
-1.320 0.000 12.659
4.121 2.744 0.001
1.372 2.941 2.173
1.428 0.197 10.487
-1.233 2.967 10.498
4.033 0.222 2.162
-1.472 0.013 7.629
1.270 0.003 5.049
1.530 2.748 7.612
4.273 2.758 5.031
-0.205 4.235 1.554
-1.682 3.002 8.662
0.225 1.502 1.550
0.019 4.190 6.354
0.070 1.454 6.353
0.973 2.997 3.929
-0.819 3.172 12.645
-0.234 4.752 10.474
0.410 1.975 10.470
2.391 4.719 2.190
3.035 2.007 2.186
3.620 0.427 0.015
1.827 0.253 8.731
2.731 4.199 6.307
2.782 1.445 6.307
2.576 4.247 11.110
4.483 0.258 3.998
3.006 1.491 11.107
```

Summary:
crystal system	monoclinic
calculated formation energy	-2862	meV per atom
uncorrected energy	-7.78	eV per atom
magnetization	0.0	μB/f.u.

# 2
Here is a relaxed structure of NbBiTe2O8 from Materials Project. Energies are from GGA-PBE.

POSCAR file:
```
NbBiTe2O8
1.0
5.689 0.000 0.000
0.000 8.228 0.000
0.000 0.000 31.936
Nb Bi Te O
8 8 16 64
Cartesian
1.335 0.459 6.684
1.335 3.655 22.652
1.509 4.573 6.684
1.509 7.769 22.652
4.180 0.459 9.284
4.180 3.655 25.252
4.354 4.573 9.284
4.354 7.769 25.252
1.170 1.126 30.656
1.170 2.988 14.688
1.674 5.240 30.656
1.674 7.102 14.688
4.015 1.126 17.248
4.015 2.988 1.280
4.519 5.240 17.248
4.519 7.102 1.280
1.332 1.071 2.524
1.332 3.043 18.492
1.347 5.184 26.693
1.347 7.158 10.725
1.497 1.070 26.693
1.497 3.044 10.725
1.512 5.185 2.524
1.512 7.157 18.492
4.177 1.071 13.444
4.177 3.043 29.412
4.192 5.184 21.211
4.192 7.158 5.243
4.342 1.070 21.211
4.342 3.044 5.243
4.357 5.185 13.444
4.357 7.157 29.412
0.017 0.085 5.063
0.017 4.029 21.031
0.051 0.351 10.668
0.051 3.763 26.636
0.065 0.951 14.550
0.065 3.163 30.518
0.071 1.340 1.077
0.071 2.774 17.045
0.299 4.316 8.174
0.299 8.026 24.142
0.951 4.966 18.141
0.951 7.376 2.173
1.054 5.593 28.511
1.054 6.749 12.543
1.307 1.834 22.499
1.307 2.280 6.531
1.538 5.948 22.499
1.538 6.394 6.531
1.791 1.479 28.511
1.791 2.635 12.543
1.894 0.852 18.141
1.894 3.262 2.173
2.546 0.202 8.174
2.546 3.912 24.142
2.774 5.454 1.077
2.774 6.888 17.045
2.780 5.065 14.550
2.780 7.277 30.518
2.794 4.465 10.668
2.794 7.877 26.636
2.827 4.199 5.063
2.827 8.143 21.031
2.862 0.085 10.905
2.862 4.029 26.873
2.895 0.351 5.300
2.895 3.763 21.268
2.910 0.951 1.418
2.910 3.163 17.386
2.916 1.340 14.891
2.916 2.774 30.859
3.143 4.316 7.794
3.143 8.026 23.762
3.795 4.966 29.763
3.795 7.376 13.795
3.899 5.593 19.393
3.899 6.749 3.425
4.151 1.834 25.405
4.151 2.280 9.437
4.383 5.948 25.405
4.383 6.394 9.437
4.635 1.479 19.393
4.635 2.635 3.425
4.739 0.852 29.763
4.739 3.262 13.795
5.391 0.202 7.794
5.391 3.912 23.762
5.618 5.454 14.891
5.618 6.888 30.859
5.624 5.065 1.418
5.624 7.277 17.386
5.639 4.465 5.300
5.639 7.877 21.268
5.672 4.199 10.905
5.672 8.143 26.873
```

Summary:
crystal system	orthorhombic
calculated formation energy	-2019	meV per atom
uncorrected energy	-6.55	eV per atom
magnetization	0.0	μB/f.u.